Record 1
VASP calculation (PBE) on a geometry-optimized BaLiSnBiO6 structure.

a = 5.926 Å, b = 5.926 Å, c = 5.926 Å
α = 60.00°, β = 60.00°, γ = 60.00°
Sites, in units of the cell vectors:
Ba1 0.000 0.000 0.000
Li1 0.500 0.500 0.500
Sn1 0.750 0.750 0.750
Bi1 0.250 0.250 0.250
O1 0.503 0.503 0.997
O2 0.503 0.997 0.503
O3 0.503 0.997 0.997
O4 0.997 0.503 0.503
O5 0.997 0.503 0.997
O6 0.997 0.997 0.503

Values from the calculation:
energy of formation = -1.94 eV per atom
SG = F-43m (216)
E (MP2020) = -6.080 eV/atom
calculated volume = 14.7 Å³ per atom
ρ = 6.4 g/cm3

Record 2
VASP calculation (PBE) on a geometry-optimized PbBr2O6 structure.

a = 16.520 Å, b = 5.715 Å, c = 6.314 Å
α = 90.00°, β = 90.00°, γ = 90.00°
Sites, in units of the cell vectors:
Pb1 0.000 0.241 0.250
Pb2 0.000 0.759 0.750
Pb3 0.500 0.259 0.750
Pb4 0.500 0.741 0.250
Br1 0.154 0.238 0.717
Br2 0.154 0.762 0.217
Br3 0.346 0.262 0.217
Br4 0.346 0.738 0.717
Br5 0.654 0.262 0.283
Br6 0.654 0.738 0.783
Br7 0.846 0.238 0.783
Br8 0.846 0.762 0.283
O1 0.069 0.106 0.604
O2 0.069 0.894 0.104
O3 0.110 0.400 0.913
O4 0.110 0.600 0.413
O5 0.205 0.022 0.832
O6 0.205 0.978 0.332
O7 0.295 0.478 0.332
O8 0.295 0.522 0.832
O9 0.390 0.100 0.413
O10 0.390 0.900 0.913
O11 0.431 0.394 0.104
O12 0.431 0.606 0.604
O13 0.569 0.394 0.396
O14 0.569 0.606 0.896
O15 0.610 0.100 0.087
O16 0.610 0.900 0.587
O17 0.705 0.478 0.168
O18 0.705 0.522 0.668
O19 0.795 0.022 0.668
O20 0.795 0.978 0.168
O21 0.890 0.400 0.587
O22 0.890 0.600 0.087
O23 0.931 0.106 0.896
O24 0.931 0.894 0.396

Values from the calculation:
energy of formation = -0.63 eV per atom
SG = Pbcn (60)
energy above the most stable polymorph in this dataset = 23.7 meV per atom
E (MP2020) = -4.707 eV/atom
calculated volume = 16.6 Å³ per atom
ρ = 5.2 g/cm3